[1]
The following is a GGA+U calculation of an optimized crystal structure of La3CoWS3O6, from Materials Project.

Crystal system = hexagonal
E_tot = -7.31 eV/atom
Energy of formation = -2.644 eV per atom

Structure (CIF):
```
data_La3CoWS3O6
_symmetry_space_group_name_H-M 'P 63/m'
_symmetry_Int_Tables_number 176
_symmetry_space_group_name_Hall '-P 6c'
_cell_length_a 9.4433
_cell_length_b 9.4433
_cell_length_c 5.5788
_cell_angle_alpha 90.00
_cell_angle_beta 90.00
_cell_angle_gamma 120.00
loop_
_atom_site_label
_atom_site_type_symbol
_atom_site_fract_x
_atom_site_fract_y
_atom_site_fract_z
La1 La 0.0902 0.6854 0.2500
Co1 Co 0.0000 0.0000 0.0000
W1 W 0.3333 0.6667 0.7500
S1 S 0.0447 0.8326 0.7500
O1 O 0.1606 0.5245 0.5229
```


[2]
The following is a GGA+U calculation of an optimized crystal structure of Li9Mn2Co5O16, from Materials Project.

Crystal system = monoclinic
E_tot = -5.80 eV/atom
Excess energy over the best structure of this formula in the dataset = 56.1 meV per atom
Energy of formation = -1.808 eV per atom

Structure (CIF):
```
data_Li9Mn2Co5O16
_symmetry_space_group_name_H-M 'P 1 2 1'
_symmetry_Int_Tables_number 3
_cell_length_a 5.231
_cell_length_b 11.335
_cell_length_c 5.235
_cell_angle_alpha 90.00
_cell_angle_beta 112.71
_cell_angle_gamma 90.00
loop_
_symmetry_equiv_pos_as_xyz
'x,y,z'
'-x,y,-z'
loop_
_atom_site_label
_atom_site_type_symbol
_atom_site_fract_x
_atom_site_fract_y
_atom_site_fract_z
Li1 Li 0.000 0.000 0.000
Li2 Li 0.000 0.119 0.500
Li3 Li 0.000 0.241 0.000
Li4 Li 0.000 0.492 0.000
Li5 Li 0.000 0.742 0.000
Li6 Li 0.500 0.115 0.000
Li7 Li 0.500 0.369 0.000
Li8 Li 0.500 0.618 0.000
Li9 Li 0.500 0.872 0.000
Mn1 Mn 0.000 0.873 0.500
Mn2 Mn 0.500 0.742 0.500
Co1 Co 0.000 0.362 0.500
Co2 Co 0.000 0.617 0.500
Co3 Co 0.500 0.243 0.500
Co4 Co 0.500 0.492 0.500
Co5 Co 0.500 0.999 0.500
O1 O 0.223 0.493 0.723
O2 O 0.224 0.742 0.733
O3 O 0.230 0.257 0.734
O4 O 0.239 0.985 0.736
O5 O 0.247 0.870 0.291
O6 O 0.272 0.369 0.277
O7 O 0.272 0.616 0.270
O8 O 0.283 0.120 0.270
```


[3]
The following is a GGA+U calculation of an optimized crystal structure of V9O22, from Materials Project.

Crystal system = triclinic
E_tot = -7.39 eV/atom
Excess energy over the best structure of this formula in the dataset = 54.9 meV per atom
Energy of formation = -2.218 eV per atom

Structure (CIF):
```
data_V9O22
_symmetry_space_group_name_H-M 'P 1'
_symmetry_Int_Tables_number 1
_cell_length_a 5.611
_cell_length_b 9.712
_cell_length_c 13.977
_cell_angle_alpha 90.23
_cell_angle_beta 90.20
_cell_angle_gamma 90.37
loop_
_symmetry_equiv_pos_as_xyz
'x,y,z'
loop_
_atom_site_label
_atom_site_type_symbol
_atom_site_fract_x
_atom_site_fract_y
_atom_site_fract_z
V1 V 0.000 0.000 0.000
V2 V 0.002 0.318 0.855
V3 V 0.007 0.327 0.353
V4 V 0.012 0.665 0.505
V5 V 0.016 0.851 0.727
V6 V 0.253 0.553 0.719
V7 V 0.465 0.339 0.201
V8 V 0.470 0.839 0.361
V9 V 0.483 0.498 0.939
V10 V 0.487 0.805 0.078
V11 V 0.501 0.825 0.581
V12 V 0.508 0.166 0.431
V13 V 0.521 0.846 0.860
V14 V 0.712 0.111 0.700
V15 V 0.741 0.057 0.208
V16 V 0.778 0.603 0.240
V17 V 0.973 0.335 0.573
V18 V 0.978 0.353 0.073
O1 O 0.009 0.994 0.790
O2 O 0.012 0.491 0.471
O3 O 0.013 0.485 0.800
O4 O 0.022 0.667 0.631
O5 O 0.211 0.412 0.969
O6 O 0.228 0.243 0.807
O7 O 0.241 0.421 0.635
O8 O 0.242 0.260 0.136
O9 O 0.245 0.250 0.459
O10 O 0.245 0.751 0.792
O11 O 0.252 0.904 0.303
O12 O 0.256 0.400 0.301
O13 O 0.256 0.750 0.133
O14 O 0.257 0.903 0.635
O15 O 0.263 0.915 0.967
O16 O 0.288 0.756 0.473
O17 O 0.484 0.504 0.817
O18 O 0.490 0.679 0.966
O19 O 0.498 0.490 0.146
O20 O 0.500 0.676 0.640
O21 O 0.502 0.160 0.627
O22 O 0.512 0.989 0.463
O23 O 0.516 0.993 0.797
O24 O 0.519 0.168 0.306
O25 O 0.523 0.989 0.135
O26 O 0.527 0.676 0.305
O27 O 0.728 0.242 0.148
O28 O 0.729 0.733 0.138
O29 O 0.730 0.931 0.298
O30 O 0.735 0.911 0.964
O31 O 0.737 0.405 0.969
O32 O 0.748 0.238 0.793
O33 O 0.750 0.767 0.800
O34 O 0.756 0.918 0.643
O35 O 0.757 0.754 0.480
O36 O 0.759 0.423 0.297
O37 O 0.762 0.414 0.628
O38 O 0.777 0.259 0.463
O39 O 0.966 0.498 0.139
O40 O 0.974 0.171 0.630
O41 O 0.982 0.177 0.295
O42 O 0.984 0.004 0.125
O43 O 0.984 0.174 0.969
O44 O 0.995 0.664 0.304
```


[4]
The following is a GGA+U calculation of an optimized crystal structure of Ca3TbMn4O12, from Materials Project.

Crystal system = monoclinic
E_tot = -7.24 eV/atom
Energy of formation = -2.651 eV per atom

Structure (CIF):
```
data_Ca3TbMn4O12
_symmetry_space_group_name_H-M 'P 1 m 1'
_symmetry_Int_Tables_number 6
_cell_length_a 5.352
_cell_length_b 7.593
_cell_length_c 5.453
_cell_angle_alpha 90.00
_cell_angle_beta 90.11
_cell_angle_gamma 90.00
loop_
_symmetry_equiv_pos_as_xyz
'x,y,z'
'x,-y,z'
loop_
_atom_site_label
_atom_site_type_symbol
_atom_site_fract_x
_atom_site_fract_y
_atom_site_fract_z
Ca1 Ca 0.000 0.000 0.000
Ca2 Ca 0.017 0.500 0.092
Ca3 Ca 0.517 0.000 0.501
Tb1 Tb 0.497 0.500 0.601
Mn1 Mn 0.007 0.249 0.544
Mn2 Mn 0.510 0.249 0.048
O1 O 0.086 0.000 0.569
O2 O 0.221 0.298 0.831
O3 O 0.307 0.295 0.342
O4 O 0.429 0.000 0.066
O5 O 0.587 0.500 0.022
O6 O 0.708 0.217 0.746
O7 O 0.807 0.211 0.248
O8 O 0.922 0.500 0.526
```


[5]
The following is a GGA+U calculation of an optimized crystal structure of LiV2P4H2O16, from Materials Project.

Crystal system = triclinic
E_tot = -6.93 eV/atom
Excess energy over the best structure of this formula in the dataset = 0.2 meV per atom
Energy of formation = -2.403 eV per atom

Structure (CIF):
```
data_LiV2P4H2O16
_symmetry_space_group_name_H-M 'P 1'
_symmetry_Int_Tables_number 1
_cell_length_a 7.764
_cell_length_b 9.286
_cell_length_c 9.299
_cell_angle_alpha 116.57
_cell_angle_beta 101.91
_cell_angle_gamma 101.92
loop_
_symmetry_equiv_pos_as_xyz
'x,y,z'
loop_
_atom_site_label
_atom_site_type_symbol
_atom_site_fract_x
_atom_site_fract_y
_atom_site_fract_z
Li1 Li 0.000 0.000 0.000
Li2 Li 0.495 0.623 0.382
V1 V 0.131 0.713 0.341
V2 V 0.142 0.218 0.838
V3 V 0.633 0.963 0.093
V4 V 0.646 0.459 0.597
P1 P 0.376 0.224 0.195
P2 P 0.376 0.711 0.695
P3 P 0.406 0.608 0.084
P4 P 0.410 0.107 0.590
P5 P 0.872 0.317 0.090
P6 P 0.874 0.816 0.602
P7 P 0.908 0.706 0.986
P8 P 0.912 0.210 0.485
H1 H 0.135 0.216 0.351
H2 H 0.153 0.705 0.827
H3 H 0.632 0.979 0.600
H4 H 0.642 0.462 0.092
O1 O 0.005 0.976 0.777
O2 O 0.009 0.477 0.266
O3 O 0.082 0.782 0.960
O4 O 0.086 0.281 0.453
O5 O 0.196 0.643 0.721
O6 O 0.201 0.143 0.218
O7 O 0.273 0.459 0.909
O8 O 0.276 0.942 0.418
O9 O 0.299 0.144 0.715
O10 O 0.303 0.644 0.217
O11 O 0.324 0.243 0.038
O12 O 0.327 0.725 0.531
O13 O 0.461 0.256 0.559
O14 O 0.467 0.773 0.070
O15 O 0.487 0.587 0.664
O16 O 0.496 0.101 0.162
O17 O 0.506 0.399 0.354
O18 O 0.507 0.887 0.856
O19 O 0.582 0.581 0.160
O20 O 0.586 0.079 0.666
O21 O 0.695 0.349 0.030
O22 O 0.699 0.838 0.522
O23 O 0.774 0.529 0.837
O24 O 0.775 0.037 0.321
O25 O 0.801 0.837 0.023
O26 O 0.802 0.337 0.521
O27 O 0.826 0.152 0.103
O28 O 0.827 0.660 0.623
O29 O 0.960 0.181 0.634
O30 O 0.968 0.691 0.151
O31 O 0.983 0.285 0.965
O32 O 0.995 0.783 0.479
```


[6]
The following is a GGA+U calculation of an optimized crystal structure of Li2TiVO4, from Materials Project.

Crystal system = triclinic
E_tot = -7.26 eV/atom
Excess energy over the best structure of this formula in the dataset = 12.0 meV per atom
Energy of formation = -2.740 eV per atom

Structure (CIF):
```
data_Li2TiVO4
_symmetry_space_group_name_H-M 'P -1'
_symmetry_Int_Tables_number 2
_cell_length_a 5.182
_cell_length_b 6.025
_cell_length_c 7.922
_cell_angle_alpha 78.14
_cell_angle_beta 77.37
_cell_angle_gamma 73.32
loop_
_symmetry_equiv_pos_as_xyz
'x,y,z'
'-x,-y,-z'
loop_
_atom_site_label
_atom_site_type_symbol
_atom_site_fract_x
_atom_site_fract_y
_atom_site_fract_z
Li1 Li 0.000 0.000 0.000
Li2 Li 0.000 0.332 0.668
Li3 Li 0.493 0.830 0.165
Li4 Li 0.500 0.500 0.500
Ti1 Ti 0.000 0.172 0.329
Ti2 Ti 0.000 0.500 0.000
V1 V 0.500 0.000 0.500
V2 V 0.500 0.329 0.170
O1 O 0.235 0.173 0.090
O2 O 0.235 0.848 0.424
O3 O 0.236 0.512 0.752
O4 O 0.239 0.652 0.076
O5 O 0.241 0.313 0.416
O6 O 0.241 0.993 0.737
```


[7]
The following is a GGA+U calculation of an optimized crystal structure of Ca4Fe5Si6O28, from Materials Project.

Crystal system = triclinic
E_tot = -6.83 eV/atom
Energy of formation = -2.386 eV per atom

Structure (CIF):
```
data_Ca4Fe5Si6O28
_symmetry_space_group_name_H-M 'P -1'
_symmetry_Int_Tables_number 2
_cell_length_a 6.030
_cell_length_b 8.886
_cell_length_c 10.357
_cell_angle_alpha 94.99
_cell_angle_beta 106.10
_cell_angle_gamma 91.50
loop_
_symmetry_equiv_pos_as_xyz
'x,y,z'
'-x,-y,-z'
loop_
_atom_site_label
_atom_site_type_symbol
_atom_site_fract_x
_atom_site_fract_y
_atom_site_fract_z
Ca1 Ca 0.150 0.240 0.325
Ca2 Ca 0.338 0.308 0.686
Fe1 Fe 0.250 0.756 0.987
Fe2 Fe 0.257 0.245 0.011
Fe3 Fe 0.500 0.000 0.500
Si1 Si 0.093 0.554 0.184
Si2 Si 0.248 0.654 0.493
Si3 Si 0.415 0.965 0.802
O1 O 0.012 0.736 0.495
O2 O 0.030 0.871 0.048
O3 O 0.057 0.376 0.117
O4 O 0.147 0.358 0.852
O5 O 0.184 0.536 0.348
O6 O 0.198 0.865 0.825
O7 O 0.221 0.989 0.375
O8 O 0.300 0.646 0.146
O9 O 0.313 0.550 0.618
O10 O 0.353 0.136 0.170
O11 O 0.363 0.027 0.652
O12 O 0.452 0.121 0.908
O13 O 0.464 0.642 0.930
O14 O 0.481 0.760 0.497
```


[8]
The following is a GGA+U calculation of an optimized crystal structure of DyCoO3, from Materials Project.

Crystal system = orthorhombic
E_tot = -7.19 eV/atom
Energy of formation = -2.616 eV per atom

Structure (CIF):
```
data_DyCoO3
_symmetry_space_group_name_H-M 'P n m a'
_symmetry_Int_Tables_number 62
_cell_length_a 5.701
_cell_length_b 7.355
_cell_length_c 5.234
_cell_angle_alpha 90.00
_cell_angle_beta 90.00
_cell_angle_gamma 90.00
loop_
_symmetry_equiv_pos_as_xyz
'x,y,z'
'-x,-y,-z'
'-x+1/2,-y,z+1/2'
'x+1/2,y,-z+1/2'
'x+1/2,-y+1/2,-z+1/2'
'-x+1/2,y+1/2,z+1/2'
'-x,y+1/2,-z'
'x,-y+1/2,z'
loop_
_atom_site_label
_atom_site_type_symbol
_atom_site_fract_x
_atom_site_fract_y
_atom_site_fract_z
Dy1 Dy 0.083 0.250 0.024
Co1 Co 0.000 0.000 0.500
O1 O 0.030 0.750 0.390
O2 O 0.186 0.553 0.800
```


[9]
The following is a GGA+U calculation of an optimized crystal structure of Mn6O5F7, from Materials Project.

Crystal system = triclinic
E_tot = -6.68 eV/atom
Excess energy over the best structure of this formula in the dataset = 8.6 meV per atom
Energy of formation = -2.432 eV per atom
Maximum piezoelectric response = 0.90 C/m2

Structure (CIF):
```
data_Mn6O5F7
_symmetry_space_group_name_H-M 'P 1'
_symmetry_Int_Tables_number 1
_cell_length_a 4.812
_cell_length_b 5.738
_cell_length_c 7.896
_cell_angle_alpha 85.77
_cell_angle_beta 86.39
_cell_angle_gamma 85.21
loop_
_symmetry_equiv_pos_as_xyz
'x,y,z'
loop_
_atom_site_label
_atom_site_type_symbol
_atom_site_fract_x
_atom_site_fract_y
_atom_site_fract_z
Mn1 Mn 0.000 0.000 0.000
Mn2 Mn 0.004 0.674 0.316
Mn3 Mn 0.027 0.331 0.652
Mn4 Mn 0.525 0.155 0.328
Mn5 Mn 0.534 0.832 0.645
Mn6 Mn 0.587 0.506 0.989
O1 O 0.332 0.127 0.556
O2 O 0.720 0.197 0.108
O3 O 0.723 0.869 0.423
O4 O 0.731 0.545 0.744
O5 O 0.851 0.718 0.097
F1 F 0.193 0.283 0.894
F2 F 0.207 0.624 0.536
F3 F 0.237 0.963 0.221
F4 F 0.324 0.804 0.879
F5 F 0.326 0.466 0.225
F6 F 0.827 0.045 0.757
F7 F 0.832 0.364 0.424
```


[10]
The following is a GGA+U calculation of an optimized crystal structure of Mn5V2Pb3O16, from Materials Project.

Crystal system = trigonal
E_tot = -7.08 eV/atom
Energy of formation = -2.016 eV per atom

Structure (CIF):
```
data_Mn5V2Pb3O16
_symmetry_space_group_name_H-M 'P -3 m 1'
_symmetry_Int_Tables_number 164
_symmetry_space_group_name_Hall '-P 3 2"'
_cell_length_a 5.8487
_cell_length_b 5.8487
_cell_length_c 11.4497
_cell_angle_alpha 90.00
_cell_angle_beta 90.00
_cell_angle_gamma 120.00
loop_
_atom_site_label
_atom_site_type_symbol
_atom_site_fract_x
_atom_site_fract_y
_atom_site_fract_z
Mn1 Mn 0.0000 0.0000 0.1898
Mn2 Mn 0.0000 0.5000 0.0000
V1 V 0.3333 0.6667 0.3594
Pb1 Pb 0.0000 0.0000 0.5000
Pb2 Pb 0.3333 0.6667 0.7353
O1 O 0.1655 0.3310 0.3152
O2 O 0.1779 0.3558 0.9057
O3 O 0.3333 0.6667 0.0848
O4 O 0.3333 0.6667 0.5069
```


[11]
The following is a GGA+U calculation of an optimized crystal structure of Li4Mn3Fe3Ni2O16, from Materials Project.

Crystal system = monoclinic
E_tot = -6.13 eV/atom
Energy of formation = -1.720 eV per atom

Structure (CIF):
```
data_Li4Mn3Fe3Ni2O16
_symmetry_space_group_name_H-M 'C 1 m 1'
_symmetry_Int_Tables_number 8
_cell_length_a 10.161
_cell_length_b 5.845
_cell_length_c 9.604
_cell_angle_alpha 90.00
_cell_angle_beta 90.22
_cell_angle_gamma 90.00
loop_
_symmetry_equiv_pos_as_xyz
'x,y,z'
'x,-y,z'
'x+1/2,y+1/2,z'
'x+1/2,-y+1/2,z'
loop_
_atom_site_label
_atom_site_type_symbol
_atom_site_fract_x
_atom_site_fract_y
_atom_site_fract_z
Li1 Li 0.000 0.000 0.000
Li2 Li 0.001 0.000 0.499
Li3 Li 0.167 0.500 0.106
Li4 Li 0.333 0.000 0.606
Mn1 Mn 0.085 0.253 0.783
Mn2 Mn 0.170 0.000 0.284
Fe1 Fe 0.332 0.500 0.783
Fe2 Fe 0.416 0.246 0.284
Ni1 Ni 0.167 0.500 0.510
Ni2 Ni 0.333 0.000 0.009
O1 O 0.007 0.000 0.184
O2 O 0.007 0.000 0.684
O3 O 0.019 0.500 0.665
O4 O 0.082 0.239 0.393
O5 O 0.158 0.000 0.892
O6 O 0.159 0.500 0.892
O7 O 0.239 0.276 0.666
O8 O 0.258 0.221 0.165
O9 O 0.327 0.000 0.397
O10 O 0.339 0.500 0.393
O11 O 0.421 0.259 0.891
O12 O 0.482 0.000 0.165
```


Question: Which formula does entry 11 have?
Answer: Li4Mn3Fe3Ni2O16